A relaxed structure of Na4CuAs2O8. Source: the Materials Project, functional PBE.

Lattice parameters (Å, degrees): 4.947 5.978 7.057 98.40 90.91 105.97
Space group P-1 (No. 2)
Asymmetric unit:
Na: 0.161 0.261 0.075 x2
Na: 0.288 0.574 0.668 x2
Cu: 0.000 0.000 0.500 x1
As: 0.398 0.804 0.235 x2
O: 0.235 0.569 0.345 x2
O: 0.236 0.145 0.739 x2
O: 0.313 0.724 0.994 x2
O: 0.316 0.062 0.331 x2

## Properties
Energy of formation: -1.8565 eV/atom
Total energy after the MP2020 corrections: -5.743 eV/atom
DFT total energy: -5.376 eV per atom